A.
An optimized crystal structure of Co5P8O28. Source: Materials Project, functional GGA+U.

Unit cell a=6.5590 b=8.2071 c=10.1939 alpha=108.41 beta=89.17 gamma=93.95
Closest atoms and distances in Å follow each position.
Fractional positions:
P  0.8095  0.8171  0.6964  4 O 1.51-1.61
O  0.4103  0.7065  0.1641  1 P 1.55
O  0.9657  0.1477  0.9316  1 P 1.51
O  0.0991  0.2195  0.1703  2 P 1.61
O  0.9009  0.7805  0.8297  2 P 1.61
O  0.6358  0.9368  0.7492  1 P 1.53
O  0.7477  0.6213  0.9869  1 P 1.53
O  0.2491  0.3519  0.4138  1 P 1.51
P  0.4791  0.7500  0.3171  4 O 1.52-1.59
O  0.0139  0.0977  0.3654  1 P 1.54
O  0.3642  0.0632  0.2508  1 P 1.53
P  0.7276  0.4480  0.2579  4 O 1.49-1.62
P  0.8373  0.7982  0.9860  4 O 1.51-1.61
Co  0.7244  0.1185  0.3839  4 O 1.82-1.92
O  0.0718  0.4514  0.7320  1 P 1.49
Co  0.3397  0.8734  0.0604  6 O 2.00-2.22
O  0.9861  0.9023  0.6346  1 P 1.54
O  0.2523  0.3787  0.0131  1 P 1.53
O  0.2878  0.6884  0.6666  1 P 1.54
P  0.1627  0.2018  0.0140  4 O 1.51-1.61
O  0.7509  0.6481  0.5862  1 P 1.51
O  0.6632  0.8845  0.3475  1 P 1.54
O  0.4507  0.4262  0.6700  2 P 1.59-1.62
O  0.9282  0.5486  0.2680  1 P 1.49
Co  0.6603  0.1266  0.9396  6 O 2.00-2.22
Co  0.5000  0.5000  0.0000  4 O 1.87-2.08
O  0.6459  0.3585  0.1060  1 P 1.57
P  0.5209  0.2500  0.6829  4 O 1.52-1.59
P  0.2724  0.5520  0.7421  4 O 1.49-1.62
O  0.3078  0.8036  0.4202  1 P 1.52
Co  0.2756  0.8815  0.6161  4 O 1.82-1.92
O  0.5493  0.5738  0.3300  2 P 1.59-1.62
O  0.7122  0.3116  0.3334  1 P 1.54
O  0.5897  0.2935  0.8359  1 P 1.55
O  0.3368  0.1155  0.6525  1 P 1.54
P  0.1905  0.1829  0.3036  4 O 1.51-1.61
O  0.6690  0.9310  0.0293  1 P 1.56
O  0.3310  0.0690  0.9707  1 P 1.56
O  0.6922  0.1964  0.5798  1 P 1.52
O  0.3541  0.6415  0.8940  1 P 1.57
O  0.0343  0.8523  0.0684  1 P 1.51

Summary:
Magnetization = 21.1 μB per formula unit

=====

B.
An optimized crystal structure of Co5P8O28. Source: Materials Project, functional GGA+U.

Unit cell a=9.3655 b=10.6816 c=12.6233 alpha=86.12 beta=106.16 gamma=115.70
Closest atoms and distances in Å follow each position.
Fractional positions:
O  0.2923  0.2784  0.8842  1 P 1.51
Co  0.5090  0.7506  0.0653  5 O 1.94-2.07
O  0.5578  0.8216  0.7290  1 P 1.55
O  0.5627  0.2918  0.6005  1 P 1.53
O  0.9086  0.4677  0.3737  1 P 1.53
O  0.1382  0.9096  0.5711  1 P 1.52
O  0.6693  0.6983  0.6031  1 P 1.53
Co  0.0948  0.7158  0.6200  5 O 1.88-2.02
Co  0.4910  0.2494  0.9347  5 O 1.94-2.07
O  0.3307  0.3017  0.3969  1 P 1.53
P  0.1980  0.2846  0.2881  4 O 1.51-1.60
O  0.4465  0.0392  0.6380  2 P 1.59-1.61
O  0.0914  0.5323  0.6263  1 P 1.53
Co  0.4909  0.7464  0.5580  4 O 1.89-2.01
O  0.5253  0.9674  0.8572  2 P 1.61
O  0.3133  0.8128  0.5295  1 P 1.55
O  0.5234  0.2756  0.0921  1 P 1.53
O  0.3130  0.0343  0.4330  1 P 1.55
Co  0.8998  0.2859  0.8975  4 O 1.89-2.05
P  0.2091  0.4625  0.1010  4 O 1.51-1.63
O  0.9735  0.8558  0.2703  1 P 1.54
O  0.6482  0.4511  0.9460  1 P 1.51
O  0.4747  0.0326  0.1428  2 P 1.61
O  0.0684  0.3632  0.8210  1 P 1.53
O  0.8653  0.4516  0.8626  1 P 1.53
O  0.4373  0.7082  0.3995  1 P 1.53
O  0.2515  0.3846  0.7051  2 P 1.61
O  0.2876  0.3979  0.2098  2 P 1.60-1.63
O  0.0724  0.3315  0.0301  1 P 1.54
O  0.7077  0.7216  0.1158  1 P 1.51
O  0.6636  0.4454  0.4339  1 P 1.50
O  0.4422  0.1784  0.2710  1 P 1.55
O  0.5535  0.9608  0.3620  2 P 1.59-1.61
O  0.7104  0.1901  0.9691  1 P 1.55
P  0.8020  0.7154  0.7119  4 O 1.51-1.60
O  0.7297  0.1847  0.7427  1 P 1.56
O  0.8738  0.8634  0.7684  1 P 1.56
P  0.7046  0.0508  0.4630  4 O 1.52-1.59
P  0.7909  0.5375  0.8990  4 O 1.51-1.63
O  0.2743  0.7718  0.7495  1 P 1.51
O  0.2896  0.8099  0.0309  1 P 1.55
O  0.8618  0.0904  0.4289  1 P 1.52
O  0.0664  0.3325  0.5173  1 P 1.53
P  0.3073  0.9599  0.0445  4 O 1.50-1.61
O  0.9386  0.6827  0.7000  1 P 1.51
P  0.8437  0.7140  0.2107  4 O 1.51-1.61
P  0.8153  0.5429  0.4011  4 O 1.50-1.61
P  0.5628  0.1943  0.6946  4 O 1.52-1.61
Co  0.8086  0.0081  0.7408  2 O 1.87-1.96
Co  0.1002  0.7141  0.1025  4 O 1.89-2.05
O  0.7485  0.6154  0.2949  2 P 1.61
O  0.1347  0.5484  0.1374  1 P 1.53
O  0.9276  0.6685  0.9699  1 P 1.54
O  0.7257  0.2282  0.2505  1 P 1.51
Co  0.9052  0.2842  0.3800  5 O 1.88-2.02
O  0.4944  0.2213  0.7820  1 P 1.52
O  0.6870  0.9657  0.5670  1 P 1.55
O  0.6867  0.1872  0.4705  1 P 1.55
O  0.0265  0.1442  0.7297  1 P 1.54
O  0.0614  0.3173  0.3000  1 P 1.51
O  0.1262  0.1366  0.2316  1 P 1.56
Co  0.1914  0.9919  0.2592  2 O 1.87-1.96
P  0.5462  0.1896  0.1917  4 O 1.51-1.61
Co  0.5091  0.2536  0.4420  4 O 1.89-2.01
O  0.3364  0.5546  0.5661  1 P 1.50
O  0.7124  0.6021  0.7902  2 P 1.60-1.63
O  0.5056  0.7787  0.2180  1 P 1.52
O  0.9316  0.6368  0.1790  1 P 1.53
O  0.2703  0.8153  0.2573  1 P 1.56
O  0.6730  0.9540  0.0541  1 P 1.50
O  0.3270  0.0460  0.9459  1 P 1.50
O  0.4766  0.7244  0.9079  1 P 1.53
O  0.9336  0.6675  0.4827  1 P 1.53
P  0.4372  0.8057  0.3054  4 O 1.52-1.61
P  0.1563  0.2860  0.7893  4 O 1.51-1.61
P  0.2954  0.9492  0.5370  4 O 1.52-1.59
P  0.6927  0.0401  0.9555  4 O 1.50-1.61
O  0.3518  0.5489  0.0540  1 P 1.51
O  0.1628  0.9392  0.0943  1 P 1.57
O  0.8372  0.0608  0.9057  1 P 1.57
P  0.4538  0.8104  0.8083  4 O 1.51-1.61
P  0.1847  0.4571  0.5989  4 O 1.50-1.61

Summary:
Magnetization = 2.9 μB per formula unit

=====

Which one sits at the bottom of the stability order? B does.